No. 1
Li6CoSi2O8 | GGA+U | optimized geometry

Unit cell a=5.107 b=8.203 c=8.466 alpha=83.20 beta=78.35 gamma=85.76
Sites, in units of the cell vectors:
Li 0.166 0.197 0.612
Li 0.166 0.697 0.112
Li 0.834 0.803 0.388
Li 0.834 0.303 0.888
Li 0.618 0.893 0.142
Li 0.618 0.393 0.641
Li 0.383 0.107 0.859
Li 0.382 0.607 0.358
Li 0.780 0.125 0.487
Li 0.780 0.625 0.987
Li 0.220 0.875 0.513
Li 0.220 0.375 0.013
Co 0.500 0.750 0.750
Co 0.500 0.250 0.250
Si 0.128 0.038 0.242
Si 0.128 0.538 0.742
Si 0.872 0.962 0.758
Si 0.872 0.462 0.258
O 0.800 0.038 0.257
O 0.800 0.538 0.757
O 0.200 0.962 0.743
O 0.200 0.462 0.243
O 0.691 0.358 0.415
O 0.691 0.858 0.915
O 0.309 0.642 0.585
O 0.309 0.142 0.085
O 0.194 0.115 0.403
O 0.194 0.616 0.903
O 0.806 0.884 0.597
O 0.806 0.385 0.097
O 0.236 0.843 0.262
O 0.236 0.343 0.762
O 0.764 0.157 0.738
O 0.764 0.657 0.238

## Properties
**VASP energy**: -6.168 eV per atom

***

No. 2
LiCoSiO4 | GGA+U | optimized geometry

Unit cell a=10.349 b=5.041 c=6.632 alpha=90.00 beta=90.00 gamma=90.00
Sites, in units of the cell vectors:
Li 0.160 0.186 0.000
Li 0.340 0.686 0.500
Li 0.660 0.314 0.000
Li 0.840 0.814 0.500
Co 0.160 0.185 0.497
Co 0.340 0.685 0.997
Co 0.660 0.315 0.497
Co 0.840 0.815 0.997
Si 0.093 0.686 0.751
Si 0.407 0.186 0.251
Si 0.593 0.814 0.751
Si 0.907 0.314 0.251
O 0.061 0.240 0.265
O 0.116 0.363 0.735
O 0.158 0.821 0.550
O 0.170 0.797 0.951
O 0.330 0.297 0.451
O 0.342 0.321 0.050
O 0.384 0.863 0.235
O 0.439 0.740 0.765
O 0.561 0.260 0.265
O 0.616 0.137 0.735
O 0.658 0.679 0.550
O 0.670 0.703 0.951
O 0.830 0.203 0.451
O 0.842 0.179 0.050
O 0.884 0.637 0.235
O 0.939 0.760 0.765

## Properties
**SG**: Pna2_1 (33)
**VASP energy**: -6.598 eV per atom
**Offset from the most stable computed form**: 19 meV per atom

***

No. 3
LiCoSiO4 | GGA+U | optimized geometry

Unit cell a=5.693 b=5.693 c=8.027 alpha=90.00 beta=90.00 gamma=90.00
Sites, in units of the cell vectors:
Li 0.000 0.226 0.000
Li 0.000 0.774 0.500
Li 0.226 0.000 0.250
Li 0.774 0.000 0.750
Co 0.229 0.500 0.250
Co 0.500 0.229 0.000
Co 0.500 0.771 0.500
Co 0.771 0.500 0.750
Si 0.257 0.257 0.625
Si 0.257 0.743 0.875
Si 0.743 0.257 0.375
Si 0.743 0.743 0.125
O 0.015 0.260 0.738
O 0.015 0.740 0.762
O 0.260 0.015 0.512
O 0.260 0.495 0.500
O 0.260 0.505 0.000
O 0.260 0.985 0.988
O 0.495 0.260 0.750
O 0.495 0.740 0.750
O 0.505 0.260 0.250
O 0.505 0.740 0.250
O 0.740 0.015 0.488
O 0.740 0.495 0.500
O 0.740 0.505 0.000
O 0.740 0.985 0.012
O 0.985 0.260 0.262
O 0.985 0.740 0.238

## Properties
**SG**: P4_322 (95)
**VASP energy**: -6.564 eV per atom
**Offset from the most stable computed form**: 54 meV per atom

***

No. 4
LiCoSiO4 | GGA+U | optimized geometry

Unit cell a=8.653 b=8.026 c=17.338 alpha=90.00 beta=119.34 gamma=90.00
Sites, in units of the cell vectors:
Li 0.004 0.151 0.254
Li 0.004 0.349 0.754
Li 0.264 0.007 0.560
Li 0.264 0.493 0.060
Li 0.361 0.009 0.086
Li 0.361 0.491 0.586
Li 0.639 0.509 0.414
Li 0.639 0.991 0.914
Li 0.736 0.507 0.940
Li 0.736 0.993 0.440
Li 0.996 0.651 0.246
Li 0.996 0.849 0.746
Co 0.030 0.163 0.924
Co 0.030 0.337 0.424
Co 0.311 0.167 0.731
Co 0.311 0.333 0.231
Co 0.354 0.660 0.904
Co 0.354 0.840 0.404
Co 0.646 0.160 0.596
Co 0.646 0.340 0.096
Co 0.689 0.667 0.769
Co 0.689 0.833 0.269
Co 0.970 0.663 0.576
Co 0.970 0.837 0.076
Si 0.042 0.729 0.427
Si 0.042 0.771 0.927
Si 0.308 0.719 0.225
Si 0.308 0.781 0.725
Si 0.364 0.235 0.409
Si 0.364 0.265 0.909
Si 0.636 0.735 0.091
Si 0.636 0.765 0.591
Si 0.692 0.219 0.275
Si 0.692 0.281 0.775
Si 0.958 0.229 0.073
Si 0.958 0.271 0.573
O 0.076 0.215 0.525
O 0.076 0.285 0.025
O 0.092 0.223 0.180
O 0.092 0.277 0.680
O 0.136 0.545 0.463
O 0.136 0.955 0.963
O 0.147 0.238 0.369
O 0.147 0.262 0.869
O 0.202 0.635 0.953
O 0.202 0.865 0.453
O 0.218 0.641 0.645
O 0.218 0.859 0.145
O 0.224 0.743 0.292
O 0.224 0.757 0.792
O 0.254 0.539 0.173
O 0.254 0.961 0.673
O 0.418 0.131 0.854
O 0.418 0.369 0.354
O 0.432 0.051 0.395
O 0.432 0.449 0.895
O 0.455 0.215 0.015
O 0.455 0.285 0.515
O 0.477 0.230 0.211
O 0.477 0.270 0.711
O 0.523 0.730 0.289
O 0.523 0.770 0.789
O 0.545 0.715 0.485
O 0.545 0.785 0.985
O 0.568 0.551 0.105
O 0.568 0.949 0.605
O 0.582 0.631 0.646
O 0.582 0.869 0.146
O 0.746 0.039 0.327
O 0.746 0.461 0.827
O 0.776 0.243 0.208
O 0.776 0.257 0.708
O 0.782 0.141 0.855
O 0.782 0.359 0.355
O 0.798 0.135 0.547
O 0.798 0.365 0.047
O 0.853 0.738 0.131
O 0.853 0.762 0.631
O 0.864 0.045 0.037
O 0.864 0.455 0.537
O 0.908 0.723 0.320
O 0.908 0.777 0.820
O 0.924 0.715 0.975
O 0.924 0.785 0.475

## Properties
**SG**: P2_1/c (14)
**VASP energy**: -6.570 eV per atom
**Offset from the most stable computed form**: 47 meV per atom